# 1
Entry from the Materials Project database: Cs2RbTbCl6 after structural relaxation (PBE).

Lattice parameters (Å, degrees): 8.1979 8.1979 8.1979 60.00 60.00 60.00
With the nearest neighbours (Å) after each atom.
Element x y z (fractional)
1 Cs 0.7500 0.7500 0.7500  12 Cl 4.11
2 Cs 0.2500 0.2500 0.2500  12 Cl 4.11
3 Cl 0.7711 0.7711 0.2289  1 Tb 2.65
4 Cl 0.7711 0.2289 0.7711  1 Tb 2.65
5 Cl 0.7711 0.2289 0.2289  1 Tb 2.65
6 Cl 0.2289 0.7711 0.2289  1 Tb 2.65
7 Cl 0.2289 0.2289 0.7711  1 Tb 2.65
8 Cl 0.2289 0.7711 0.7711  1 Tb 2.65
9 Tb 0.0000 0.0000 0.0000  6 Cl 2.65
10 Rb 0.5000 0.5000 0.5000  6 Cl 3.14

Electronic total energy ... -39.840 eV for the cell shown
SG ... No. 225
Total moment ... 0.00 μB/f.u.
Energy relative to the elements ... -241.5 kJ/mol of atoms

# 2
Entry from the Materials Project database: KNbO2F after structural relaxation (PBE).

Lattice parameters (Å, degrees): 4.0473 4.0473 4.3400 90.00 90.00 90.00
With the nearest neighbours (Å) after each atom.
Element x y z (fractional)
1 O 0.5000 0.0000 0.5000  2 Nb 2.02
2 O 0.0000 0.5000 0.5000  2 Nb 2.02
3 F 0.5000 0.5000 0.0000  2 Nb 2.17
4 K 0.0000 0.0000 0.0000  4 F 2.86, 8 O 2.97
5 Nb 0.5000 0.5000 0.5000  4 O 2.02, 2 F 2.17

Electronic total energy ... -35.189 eV for the cell shown
SG ... No. 123
Total moment ... 0.43 μB/f.u.
Energy relative to the elements ... -270.2 kJ/mol of atoms

# 3
Entry from the Materials Project database: Zn3Ni after structural relaxation (PBE).

Lattice parameters (Å, degrees): 4.7184 4.7184 4.7184 134.40 134.40 66.46
With the nearest neighbours (Å) after each atom.
Element x y z (fractional)
1 Ni 0.0000 0.0000 0.0000  12 Zn 2.59-2.69
2 Zn 0.5000 0.5000 0.0000  4 Ni 2.59, 8 Zn 2.69
3 Zn 0.7500 0.2500 0.5000  8 Zn 2.59-2.69, 4 Ni 2.69
4 Zn 0.2500 0.7500 0.5000  8 Zn 2.59-2.69, 4 Ni 2.69

Electronic total energy ... -10.236 eV for the cell shown
SG ... No. 139
Energy relative to the elements ... -16.3 kJ/mol of atoms

# 4
Entry from the Materials Project database: TlBr after structural relaxation (PBE).

Lattice parameters (Å, degrees): 6.7171 6.7171 5.0623 90.00 90.00 141.10
With the nearest neighbours (Å) after each atom.
Element x y z (fractional)
1 Br 0.1324 0.8676 0.7500  5 Tl 3.21-3.39
2 Br 0.8676 0.1324 0.2500  5 Tl 3.21-3.39
3 Tl 0.3857 0.6143 0.7500  5 Br 3.21-3.39
4 Tl 0.6143 0.3857 0.2500  5 Br 3.21-3.39

Electronic total energy ... -11.444 eV for the cell shown
SG ... No. 63
Energy relative to the elements ... -108.8 kJ/mol of atoms

# 5
Entry from the Materials Project database: YSeF after structural relaxation (PBE).

Lattice parameters (Å, degrees): 4.1297 10.0273 13.1860 75.04 90.00 90.00
With the nearest neighbours (Å) after each atom.
Element x y z (fractional)
1 Y 0.7500 0.6224 0.3855  3 F 2.30-2.35
2 Y 0.7500 0.4555 0.8735  6 Se 2.85-2.88
3 Y 0.2500 0.3776 0.6145  3 F 2.30-2.35
4 Y 0.7500 0.1165 0.3630  3 F 2.28-2.29
5 Y 0.2500 0.8835 0.6370  3 F 2.28-2.29
6 Y 0.7500 0.9626 0.8784  6 F 2.31-2.48
7 Y 0.2500 0.5445 0.1265  6 Se 2.85-2.88
8 Y 0.2500 0.0374 0.1216  6 F 2.31-2.48
9 F 0.2500 0.9856 0.9606  3 Y 2.31-2.37, 3 F 2.36
10 F 0.2500 0.0952 0.2936  3 Y 2.29-2.48, 2 F 2.43
11 F 0.2500 0.9368 0.7950  3 Y 2.28-2.38, 3 F 2.36-2.43
12 F 0.7500 0.0632 0.2050  3 Y 2.28-2.38, 3 F 2.36-2.43
13 F 0.7500 0.4454 0.5422  3 Y 2.30-2.35, 2 F 2.46
14 F 0.7500 0.0144 0.0394  3 Y 2.31-2.37, 3 F 2.36
15 F 0.2500 0.5546 0.4578  3 Y 2.30-2.35, 2 F 2.46
16 F 0.7500 0.9048 0.7064  3 Y 2.29-2.48, 2 F 2.43
17 Se 0.2500 0.5856 0.7311  4 Y 2.87-2.92
18 Se 0.7500 0.4144 0.2689  4 Y 2.87-2.92
19 Se 0.7500 0.8396 0.4876  4 Y 2.84-2.96, 1 F 3.12
20 Se 0.7500 0.2446 0.7641  4 Y 2.84-2.93, 1 F 3.09
21 Se 0.2500 0.1604 0.5124  4 Y 2.84-2.96, 1 F 3.12
22 Se 0.7500 0.6715 0.9816  4 Y 2.88
23 Se 0.2500 0.7554 0.2359  4 Y 2.84-2.93, 1 F 3.09
24 Se 0.2500 0.3285 0.0184  4 Y 2.88

Electronic total energy ... -163.381 eV for the cell shown
SG ... No. 11
Energy relative to the elements ... -289.7 kJ/mol of atoms

# 6
Entry from the Materials Project database: KCu3SnSe4 after structural relaxation (PBE).

Lattice parameters (Å, degrees): 6.2818 6.2818 6.2818 90.00 90.00 90.00
With the nearest neighbours (Å) after each atom.
Element x y z (fractional)
1 Sn 0.0000 0.0000 0.0000  4 Se 2.49
2 K 0.5000 0.5000 0.5000  4 Se 2.95
3 Cu 0.5000 0.0000 0.0000  4 Se 2.65
4 Cu 0.0000 0.5000 0.0000  4 Se 2.65
5 Cu 0.0000 0.0000 0.5000  4 Se 2.65
6 Se 0.2288 0.7712 0.7712  1 Sn 2.49, 3 Cu 2.65
7 Se 0.7712 0.2288 0.7712  1 Sn 2.49, 3 Cu 2.65
8 Se 0.2288 0.2288 0.2288  1 Sn 2.49, 3 Cu 2.65
9 Se 0.7712 0.7712 0.2288  1 Sn 2.49, 3 Cu 2.65

Electronic total energy ... -33.194 eV for the cell shown
SG ... No. 215
Total moment ... 0.00 μB/f.u.
Energy relative to the elements ... -39.5 kJ/mol of atoms

# 7
Entry from the Materials Project database: Mg15Zn after structural relaxation (PBE).

Lattice parameters (Å, degrees): 6.3597 6.3597 10.2105 90.00 90.00 120.00
With the nearest neighbours (Å) after each atom.
Element x y z (fractional)
1 Mg 0.5003 0.4997 0.5000  12 Mg 3.15-3.18
2 Mg 0.0012 0.5006 0.0000  10 Mg 3.13-3.19, 2 Zn 3.18
3 Mg 0.8346 0.1654 0.2472  1 Zn 3.11, 11 Mg 3.13-3.20
4 Mg 0.4994 0.5006 0.0000  10 Mg 3.13-3.19, 2 Zn 3.18
5 Mg 0.4994 0.9988 0.0000  10 Mg 3.13-3.19, 2 Zn 3.18
6 Mg 0.0000 0.0000 0.5000  12 Mg 3.16-3.18
7 Mg 0.3308 0.1654 0.7528  1 Zn 3.11, 11 Mg 3.13-3.20
8 Mg 0.5003 0.0005 0.5000  12 Mg 3.15-3.18
9 Mg 0.8346 0.6692 0.7528  1 Zn 3.11, 11 Mg 3.13-3.20
10 Mg 0.8346 0.1654 0.7528  1 Zn 3.11, 11 Mg 3.13-3.20
11 Mg 0.9995 0.4997 0.5000  12 Mg 3.15-3.18
12 Mg 0.3308 0.1654 0.2472  1 Zn 3.11, 11 Mg 3.13-3.20
13 Mg 0.3333 0.6667 0.2501  12 Mg 3.14-3.18
14 Mg 0.8346 0.6692 0.2472  1 Zn 3.11, 11 Mg 3.13-3.20
15 Mg 0.3333 0.6667 0.7499  12 Mg 3.14-3.18
16 Zn 0.0000 0.0000 0.0000  12 Mg 3.11-3.18

Electronic total energy ... -25.194 eV for the cell shown
SG ... No. 187
Energy relative to the elements ... 0.4 kJ/mol of atoms

# 8
Entry from the Materials Project database: Ba2Ni9B6 after structural relaxation (PBE).

Lattice parameters (Å, degrees): 7.5446 7.5446 7.5446 83.42 83.42 83.42
With the nearest neighbours (Å) after each atom.
Element x y z (fractional)
1 Ni 0.8915 0.4327 0.9239  4 B 2.08-2.19
2 Ni 0.5673 0.0761 0.1085  4 B 2.08-2.19
3 Ni 0.4327 0.9239 0.8915  4 B 2.08-2.19
4 Ni 0.7155 0.7845 0.2500  4 B 2.08-2.11
5 Ni 0.2155 0.7500 0.2845  4 B 2.08-2.11
6 Ni 0.1085 0.5673 0.0761  4 B 2.08-2.19
7 Ni 0.5761 0.0673 0.6085  4 B 2.08-2.19
8 Ni 0.9327 0.3915 0.4239  4 B 2.08-2.19
9 Ni 0.2845 0.2155 0.7500  4 B 2.08-2.11
10 Ni 0.9239 0.8915 0.4327  4 B 2.08-2.19
11 Ni 0.0673 0.6085 0.5761  4 B 2.08-2.19
12 Ni 0.0761 0.1085 0.5673  4 B 2.08-2.19
13 Ni 0.7500 0.2845 0.2155  4 B 2.08-2.11
14 Ni 0.2500 0.7155 0.7845  4 B 2.08-2.11
15 Ni 0.6085 0.5761 0.0673  4 B 2.08-2.19
16 Ni 0.3915 0.4239 0.9327  4 B 2.08-2.19
17 Ni 0.4239 0.9327 0.3915  4 B 2.08-2.19
18 Ni 0.7845 0.2500 0.7155  4 B 2.08-2.11
19 B 0.6525 0.3122 0.9655  1 B 1.74
20 B 0.1525 0.4655 0.8122  1 B 1.74
21 B 0.8122 0.1525 0.4655  1 B 1.74
22 B 0.6878 0.0345 0.3475  1 B 1.74
23 B 0.1878 0.8475 0.5345  1 B 1.74
24 B 0.3475 0.6878 0.0345  1 B 1.74
25 B 0.0345 0.3475 0.6878  1 B 1.74
26 B 0.3122 0.9655 0.6525  1 B 1.74
27 B 0.4655 0.8122 0.1525  1 B 1.74
28 B 0.9655 0.6525 0.3122  1 B 1.74
29 B 0.5345 0.1878 0.8475  1 B 1.74
30 B 0.8475 0.5345 0.1878  1 B 1.74
31 Ba 0.1229 0.1229 0.1229  12 Ni 2.97-3.32, 3 B 3.29
32 Ba 0.6229 0.6229 0.6229  12 Ni 2.97-3.32, 3 B 3.29
33 Ba 0.8771 0.8771 0.8771  12 Ni 2.97-3.32, 3 B 3.29
34 Ba 0.3771 0.3771 0.3771  12 Ni 2.97-3.32, 3 B 3.29

Electronic total energy ... -201.792 eV for the cell shown
SG ... No. 167
Total moment ... 0.00 μB/f.u.
Energy relative to the elements ... -28.2 kJ/mol of atoms

# 9
Entry from the Materials Project database: Tm3Th after structural relaxation (PBE).

Lattice parameters (Å, degrees): 7.0847 7.0847 5.7278 90.00 90.00 120.00
With the nearest neighbours (Å) after each atom.
Element x y z (fractional)
1 Tm 0.1664 0.3328 0.2500  8 Tm 3.52-3.55, 4 Th 3.52-3.54
2 Tm 0.1664 0.8336 0.2500  8 Tm 3.52-3.55, 4 Th 3.52-3.54
3 Tm 0.8336 0.1664 0.7500  8 Tm 3.52-3.55, 4 Th 3.52-3.54
4 Tm 0.8336 0.6672 0.7500  8 Tm 3.52-3.55, 4 Th 3.52-3.54
5 Tm 0.3328 0.1664 0.7500  8 Tm 3.52-3.55, 4 Th 3.52-3.54
6 Tm 0.6672 0.8336 0.2500  8 Tm 3.52-3.55, 4 Th 3.52-3.54
7 Th 0.3333 0.6667 0.7500  12 Tm 3.52-3.54
8 Th 0.6667 0.3333 0.2500  12 Tm 3.52-3.54

Electronic total energy ... -41.372 eV for the cell shown
SG ... No. 194
Energy relative to the elements ... 3.7 kJ/mol of atoms